First-principles (PBE-GGA) data for K2PtI5O2 after structural relaxation, as listed in the Materials Project.

The structure in POSCAR format:
```
K2PtI5O2
1.0
4.7609 -6.5888 0.0000
4.7609 6.5888 0.0000
0.0000 0.0000 11.6720
K O I Pt
4 4 10 2
Cartesian
6.9796 2.6510 3.0310 K
2.5423 2.6510 8.8670 K
2.5423 -2.6510 8.8670 K
6.9796 -2.6510 3.0310 K
4.5919 3.2128 1.9578 O
4.5919 -3.2128 1.9578 O
4.9299 3.2128 7.7938 O
4.9299 -3.2128 7.7938 O
6.8325 0.0000 0.4516 I
4.7583 -3.9225 0.2003 I
4.7636 -3.9225 6.0362 I
2.6894 0.0000 6.2876 I
6.8208 0.0000 6.1500 I
4.7583 3.9225 0.2003 I
0.1078 0.0000 3.3031 I
9.4141 0.0000 9.1391 I
2.7011 0.0000 0.3140 I
4.7636 3.9225 6.0362 I
0.0118 0.0000 0.3859 Pt
9.5101 0.0000 6.2219 Pt
```

Summary:
energy relative to the elements = -0.73 eV/atom
total magnetic moment = 0.003 μB per formula unit
energy with MP2020 corrections = -3.309 eV/atom
V = 732.3 Å³/cell
space group = Cmc2_1, No. 36

---

First-principles (PBE-GGA) data for K2PtI4O2 after structural relaxation, as listed in the Materials Project.

The structure in POSCAR format:
```
K2PtI4O2
1.0
11.4707 0.0000 0.0000
-0.0755 7.7496 0.0000
-0.0584 -0.0169 13.8716
Pt O K I
4 8 8 16
Cartesian
11.4036 3.8736 6.9291 Pt
5.6300 7.7386 6.9268 Pt
0.0207 0.0040 0.0147 Pt
5.6286 3.8397 13.8551 Pt
2.2419 4.2884 9.9906 O
3.2961 0.2867 9.8995 O
8.0027 7.3650 3.9180 O
7.9902 4.2857 10.8260 O
9.0594 0.3568 10.8730 O
3.3361 3.4811 3.0139 O
9.0409 3.4842 3.9006 O
2.3405 7.3955 3.0126 O
4.1685 5.3574 4.5931 K
9.7899 6.1824 9.3322 K
9.9358 5.3280 2.3165 K
4.0780 6.2100 11.5062 K
7.2619 1.5164 2.3662 K
1.3790 2.4430 11.5850 K
7.1822 2.3828 9.2619 K
1.5417 1.5085 4.5954 K
7.6679 6.6636 5.6532 I
6.3393 6.0039 8.7611 I
3.6619 1.0497 8.2013 I
1.9252 4.9792 8.2453 I
9.3932 2.7773 5.6378 I
10.7372 1.7192 1.8633 I
4.8661 2.1384 12.0041 I
10.6620 2.1414 8.7665 I
9.3912 1.0567 12.6030 I
3.6847 2.7644 1.2938 I
7.6433 4.9507 12.5714 I
0.6224 6.0351 12.0426 I
6.4581 5.5537 1.8388 I
5.0027 1.7479 5.1035 I
0.6951 5.5911 5.0928 I
1.9842 6.6889 1.2948 I
```

Summary:
energy above the lowest structure with this stoichiometry = 18 meV/atom
energy relative to the elements = -0.80 eV/atom
total magnetic moment = 0.002 μB per formula unit
energy with MP2020 corrections = -3.502 eV/atom
V = 1233.1 Å³/cell
space group = P1, No. 1

---

First-principles (PBE-GGA) data for K2PtI4O2 after structural relaxation, as listed in the Materials Project.

The structure in POSCAR format:
```
K2PtI4O2
1.0
-2.2025 6.9844 -1.4739
-8.6173 -1.0461 8.0081
8.7445 4.8356 10.0016
I O K Pt
16 8 8 4
Cartesian
5.3647 9.5280 8.0566 I
-2.8263 2.5221 3.0602 I
-7.4400 1.2458 8.4792 I
1.9914 3.5700 8.3545 I
-5.3188 5.1189 4.7522 I
-1.0829 2.9583 6.8828 I
-2.5352 6.1985 1.0005 I
-3.1514 3.9672 13.4120 I
3.2435 5.6549 11.7836 I
0.4599 4.5754 15.5353 I
-0.9924 7.8155 9.6530 I
2.3088 7.2589 6.3024 I
-4.3841 3.5149 10.2334 I
-4.0667 7.2038 8.1812 I
1.0761 6.8066 3.1238 I
0.7510 8.2518 13.4756 I
3.2941 7.0914 7.9329 O
3.5611 3.4596 9.4159 O
-1.9939 7.4544 2.3677 O
-5.3694 3.6825 8.6029 O
-0.0814 3.3194 14.1681 O
-5.6364 7.3142 7.1199 O
-1.7064 3.8577 3.8735 O
-0.3688 6.9162 12.6622 O
-4.4463 1.8336 6.6931 K
2.3710 8.9402 9.8427 K
-1.9272 6.2560 4.9087 K
-3.0400 7.7929 12.5343 K
-0.1481 4.5179 11.6270 K
0.9648 2.9809 4.0014 K
5.2881 5.6881 8.8997 K
-7.3634 5.0857 7.6361 K
-5.4099 2.9691 3.2671 Pt
3.2710 5.9100 4.2638 Pt
0.0000 0.0000 0.0000 Pt
0.0636 1.8947 9.0049 Pt
```

Summary:
energy above the lowest structure with this stoichiometry = 0 meV/atom
energy relative to the elements = -0.82 eV/atom
total magnetic moment = 0.000 μB per formula unit
energy with MP2020 corrections = -3.520 eV/atom
V = 1247.3 Å³/cell
space group = P-1, No. 2

---

First-principles (PBE-GGA) data for KTeIO9 after structural relaxation, as listed in the Materials Project.

The structure in POSCAR format:
```
KTeIO9
1.0
7.0104 0.0000 0.0000
0.0000 8.6416 0.0000
0.0000 0.0000 14.1050
Te O I K
4 36 4 4
Cartesian
6.9179 1.8599 1.2011 Te
3.4127 6.7817 12.9039 Te
3.4127 2.4609 8.2535 Te
6.9179 6.1807 5.8514 Te
0.4103 7.8661 6.6158 O
0.4103 3.5453 0.4367 O
3.0552 8.5347 12.2358 O
3.7086 7.1749 2.7484 O
2.4613 7.5082 0.3314 O
3.9155 5.0963 13.6683 O
4.5819 1.9209 9.7550 O
1.6378 1.8984 8.8389 O
0.2034 1.4668 11.3566 O
2.4613 3.1873 6.7211 O
1.9381 5.0089 2.7764 O
1.2523 3.8841 11.8693 O
1.7858 1.6169 0.6689 O
5.2910 7.0247 13.4361 O
5.1430 6.7432 5.2661 O
5.1430 2.4224 1.7864 O
4.7575 0.4367 4.8168 O
1.9381 0.6881 4.2761 O
1.0767 6.7207 4.3500 O
5.9665 1.1335 13.7736 O
1.2523 8.2049 9.2882 O
4.5819 6.2417 11.4025 O
5.4433 3.6327 11.3285 O
3.7086 2.8541 4.3041 O
3.0552 4.2139 8.9217 O
0.2034 5.7876 9.8009 O
4.7575 4.7576 2.2357 O
1.0767 2.3999 2.7025 O
3.9155 0.7755 7.4892 O
6.5604 0.1069 1.8692 O
6.5604 4.4277 5.1833 O
1.7858 5.9377 6.3836 O
5.2910 2.7039 7.7214 O
5.4433 7.9536 9.8289 O
5.9665 5.4543 7.3839 O
1.6378 6.2193 12.3186 O
0.0702 7.4938 10.5187 I
0.0702 3.1730 10.6387 I
3.5754 1.1479 3.5863 I
3.5754 5.4687 3.4662 I
3.5496 2.4890 12.8532 K
0.0444 1.8318 5.8007 K
3.5496 6.8098 8.3043 K
0.0444 6.1527 1.2518 K
```

Summary:
energy above the lowest structure with this stoichiometry = 28 meV/atom
energy relative to the elements = -0.56 eV/atom
total magnetic moment = 6.000 μB per formula unit
energy with MP2020 corrections = -4.754 eV/atom
V = 854.5 Å³/cell
space group = Pna2_1, No. 33

---

Look up the energy with MP2020 corrections of the third one.
-3.520 eV/atom